Density functional theory data (PBE) for an optimized crystal structure of Li3Ti2P3O12.

Calculated values
The crystal system is monoclinic. For the total energy, the calculation gives -7.28 eV/atom. The value obtained for the energy above the most stable polymorph in this dataset is 39 meV per atom.

Cell: 9.8457 9.8457 9.8748 Å, 85.68 85.68 85.69°
Last column: nearest neighbours and their distance in Å.
Positions (direct):
P 0.1503 0.8263 0.1956  4 O 1.53-1.58
O 0.4040 0.2082 0.8282  1 P 1.53
O 0.4559 0.3780 0.3480  1 P 1.54
P 0.8195 0.1583 0.6957  4 O 1.54-1.58
O 0.0341 0.8956 0.8745  1 P 1.54
O 0.3123 0.4115 0.5603  1 P 1.57
O 0.6220 0.5441 0.6520  1 P 1.54
O 0.6833 0.1831 0.3351  1 P 1.57
P 0.6500 0.9456 0.0784  4 O 1.53-1.58
O 0.3999 0.1158 0.2876  1 P 1.54
Li 0.0206 0.4642 0.2437  3 O 2.00-2.17
O 0.1912 0.0837 0.4506  1 P 1.56
O 0.9560 0.1020 0.6276  1 P 1.54
P 0.3484 0.0534 0.4281  4 O 1.53-1.59
O 0.3789 0.4684 0.8531  1 P 1.54
Li 0.8329 0.7623 0.2360  1 O 1.88
Li 0.5022 0.2507 0.5884  1 O 1.86
O 0.8169 0.3167 0.6649  1 P 1.57
P 0.9466 0.6516 0.5719  4 O 1.53-1.59
O 0.8842 0.6001 0.7124  1 P 1.54
O 0.1929 0.4102 0.3350  1 P 1.53
O 0.6208 0.1055 0.0809  1 P 1.58
O 0.9065 0.5749 0.4536  1 P 1.53
Li 0.5358 0.9794 0.7563  3 O 2.00-2.17
P 0.5537 0.6815 0.5972  4 O 1.53-1.59
O 0.3782 0.8932 0.4209  1 P 1.59
O 0.4134 0.3159 0.0585  1 P 1.57
O 0.6059 0.3335 0.8705  1 P 1.58
O 0.8257 0.1229 0.8538  1 P 1.58
O 0.8771 0.1743 0.1462  1 P 1.58
Ti 0.0364 0.9636 0.5000  6 O 2.00-2.09
Li 0.2377 0.1671 0.7640  1 O 1.88
Li 0.3165 0.9888 0.0211  2 O 1.92-2.15
O 0.0872 0.1918 0.9368  1 P 1.57
O 0.1225 0.3925 0.7801  1 P 1.55
O 0.0728 0.7081 0.1551  1 P 1.53
Li 0.5332 0.7305 0.9105  2 O 1.89-2.00
O 0.8945 0.3792 0.9191  1 P 1.58
Ti 0.2496 0.7504 0.5000  6 O 2.04-2.06
O 0.2919 0.9272 0.8449  1 P 1.53
O 0.1231 0.8337 0.3544  1 P 1.58
O 0.3941 0.6694 0.6268  1 P 1.59
Li 0.0112 0.6835 0.9789  2 O 1.92-2.15
O 0.9163 0.8088 0.5494  1 P 1.56
Ti 0.7530 0.4676 0.7867  6 O 1.97-2.11
Ti 0.9599 0.0401 0.0000  6 O 2.02-2.11
O 0.6897 0.1024 0.6505  1 P 1.54
Li 0.7493 0.4978 0.4116  1 O 1.86
O 0.3306 0.6059 0.3732  1 P 1.59
Ti 0.2497 0.5389 0.7110  6 O 2.01-2.07
P 0.0544 0.3500 0.9216  4 O 1.53-1.58
O 0.5885 0.6877 0.4397  1 P 1.57
O 0.6841 0.5866 0.9415  1 P 1.57
P 0.1737 0.8497 0.8044  4 O 1.53-1.58
P 0.4468 0.3285 0.9005  4 O 1.53-1.58
O 0.8980 0.0440 0.3724  1 P 1.54
O 0.1068 0.6218 0.5791  1 P 1.59
O 0.4251 0.0935 0.5464  1 P 1.53
O 0.7918 0.5960 0.1718  1 P 1.53
Li 0.2695 0.4668 0.0895  2 O 1.89-2.00
Ti 0.7491 0.2509 0.0000  6 O 2.05-2.06
O 0.8976 0.3103 0.3495  1 P 1.54
O 0.1663 0.8769 0.6456  1 P 1.58
O 0.5316 0.6211 0.1469  1 P 1.54
P 0.3185 0.4463 0.4028  4 O 1.53-1.59
P 0.8417 0.1805 0.3043  4 O 1.54-1.58
O 0.5898 0.8071 0.6650  1 P 1.53
O 0.5686 0.9039 0.9637  1 P 1.53
O 0.1044 0.9659 0.1255  1 P 1.54
O 0.0961 0.4314 0.0363  1 P 1.53
Ti 0.4611 0.7503 0.2890  6 O 2.01-2.07
P 0.6715 0.5532 0.0995  4 O 1.53-1.58
O 0.1877 0.6914 0.8376  1 P 1.57
Li 0.0103 0.3276 0.4969  1 O 1.92
O 0.6665 0.3941 0.1295  1 P 1.58
Li 0.6724 0.9897 0.5031  1 O 1.92
O 0.8082 0.9128 0.0632  1 P 1.57
Ti 0.5324 0.2470 0.2133  6 O 1.97-2.11
O 0.6075 0.8775 0.2199  1 P 1.55
O 0.3086 0.8123 0.1624  1 P 1.57

=====

Density functional theory data (PBE) for an optimized crystal structure of Al2O3.

Calculated values
The crystal system is triclinic. For the total energy, the calculation gives -7.07 eV/atom.

Cell: 6.1925 7.4445 21.2882 Å, 96.24 92.71 114.60°
Last column: nearest neighbours and their distance in Å.
Positions (direct):
O 0.7587 0.6426 0.4211  3 Al 1.76-1.84
Al 0.6160 0.8760 0.9098  5 O 1.86-2.05
O 0.7435 0.9857 0.4302  3 Al 1.83-1.88
O 0.6142 0.6116 0.1894  3 Al 1.79-1.88
O 0.4704 0.2470 0.7659  3 Al 1.89-1.95
O 0.0375 0.8085 0.6497  2 Al 1.73-1.89
O 0.6772 0.7454 0.7180  2 Al 1.82-1.88
O 0.0162 0.5040 0.8802  3 Al 1.78-1.91
Al 0.5906 0.7521 0.6234  4 O 1.82-1.97
O 0.9396 0.9215 0.3231  3 Al 1.84-1.87
O 0.2949 0.8918 0.8973  4 Al 1.85-2.05
O 0.9771 0.4970 0.1785  3 Al 1.85-1.93
O 0.2735 0.5910 0.6195  2 Al 1.76-1.82
O 0.9559 0.2551 0.0734  3 Al 1.81-1.89
Al 0.7301 0.0386 0.3227  4 O 1.77-1.84
O 0.9152 0.2827 0.5648  3 Al 1.74-1.86
O 0.2319 0.1362 0.5648  3 Al 1.78-1.88
O 0.5998 0.1087 0.1389  3 Al 1.80-1.91
O 0.6162 0.3216 0.2489  1 O 1.51
Al 0.2448 0.3808 0.5671  4 O 1.76-1.86
O 0.6300 0.3246 0.4642  3 Al 1.82-1.96
Al 0.6734 0.3930 0.3841  4 O 1.78-1.84
Al 0.9048 0.6725 0.2318  4 O 1.82-1.86
O 0.8914 0.8612 0.0978  2 Al 1.73-1.78
Al 0.2326 0.0884 0.2974  4 O 1.82-1.92
O 0.8108 0.4371 0.6742  3 Al 1.76-1.85
O 0.6842 0.1232 0.9726  1 O 1.53
Al 0.6237 0.1805 0.0604  5 O 1.80-1.96
Al 0.3870 0.0863 0.8314  3 O 1.82-1.89
Al 0.5314 0.5232 0.7744  3 O 1.71-1.92
Al 0.9505 0.6947 0.7168  4 O 1.73-1.88
O 0.1808 0.8903 0.2257  3 Al 1.81-1.92
Al 0.9304 0.5214 0.6006  5 O 1.82-2.02
Al 0.7301 0.5272 0.9833  4 O 1.83-1.95
Al 0.0406 0.5205 0.0912  4 O 1.81-1.93
O 0.5186 0.9853 0.6393  3 Al 1.77-1.96
O 0.6877 0.4626 0.0664  4 Al 1.86-2.07
O 0.0334 0.5512 0.0028  3 Al 1.83-1.92
O 0.7571 0.5153 0.2927  1 O 1.51
O 0.8841 0.2890 0.3604  3 Al 1.77-1.84
O 0.9144 0.8763 0.9390  3 Al 1.81-1.92
Al 0.4126 0.8915 0.4159  4 O 1.68-1.87
Al 0.1918 0.4725 0.9431  4 O 1.78-1.83
Al 0.4247 0.9023 0.1805  4 O 1.78-1.84
O 0.6428 0.0260 0.8401  3 Al 1.77-1.93
O 0.5057 0.6228 0.9697  2 Al 1.82-1.83
Al 0.3341 0.1618 0.4830  4 O 1.82-1.88
O 0.7182 0.8347 0.5481  3 Al 1.77-1.90
O 0.2484 0.3757 0.4798  3 Al 1.81-1.88
Al 0.7239 0.6000 0.5045  5 O 1.79-1.96
O 0.4383 0.9994 0.3408  3 Al 1.77-1.91
Al 0.0122 0.4122 0.7974  4 O 1.69-1.82
Al 0.1096 0.1071 0.0947  3 O 1.78-1.82
Al 0.3784 0.3553 0.1946  3 O 1.81-1.94
O 0.1986 0.2453 0.9070  2 Al 1.79-1.80
O 0.5721 0.2488 0.9442  1 O 1.53
O 0.1330 0.2547 0.2424  2 Al 1.81-1.85
O 0.2628 0.5364 0.7628  2 Al 1.69-1.71
Al 0.9560 0.8836 0.4083  3 O 1.76-1.87
Al 0.7979 0.9574 0.7814  4 O 1.76-1.82
O 0.6023 0.5092 0.5799  4 Al 1.88-2.02
Al 0.6437 0.2012 0.6967  4 O 1.76-1.95
Al 0.8484 0.2442 0.2066  5 O 1.85-1.98
O 0.6792 0.0016 0.2378  3 Al 1.78-1.88
Al 0.2303 0.9043 0.5840  4 O 1.81-1.92
O 0.0270 0.6719 0.5353  3 Al 1.79-1.85
O 0.8636 0.5678 0.7849  4 Al 1.79-1.94
O 0.0736 0.9317 0.7996  2 Al 1.82-1.84
O 0.3589 0.3120 0.3556  3 Al 1.81-1.83
Al 0.7455 0.0543 0.5179  4 O 1.74-1.88
O 0.4298 0.9672 0.5033  3 Al 1.78-1.87
O 0.3037 0.0903 0.0351  3 Al 1.78-1.84
Al 0.9650 0.7322 0.8653  6 O 1.90-2.08
O 0.6382 0.6851 0.8495  3 Al 1.81-1.91
O 0.3512 0.7026 0.1133  3 Al 1.83-1.84
Al 0.1847 0.4146 0.4000  4 O 1.69-1.81
Al 0.2214 0.0632 0.9522  4 O 1.78-1.85
Al 0.6262 0.6657 0.1093  4 O 1.73-1.86
O 0.2325 0.6500 0.3900  2 Al 1.68-1.69
O 0.8684 0.1769 0.7473  3 Al 1.76-1.80

=====

Density functional theory data (PBE) for an optimized crystal structure of UCu3Pd2.

Calculated values
The crystal system is orthorhombic. For the total energy, the calculation gives -5.79 eV/atom.

Cell: 5.1257 5.1257 5.1257 Å, 122.33 116.72 90.90°
Last column: nearest neighbours and their distance in Å.
Positions (direct):
Pd 0.1252 0.3743 0.7509  4 Cu 2.55-2.58, 2 Pd 2.68-2.70
Cu 0.6216 0.3704 0.7487  2 Cu 2.46-2.48, 4 Pd 2.55-2.58
Cu 0.2555 0.7555 0.5000  6 Cu 2.91-3.11, 6 Pd 2.94-3.06, 4 U 3.07-3.22
Cu 0.6216 0.8729 0.2513  2 Cu 2.46-2.48, 4 Pd 2.55-2.58
Pd 0.6233 0.3743 0.2491  4 Cu 2.55-2.58, 2 Pd 2.68-2.70
U 0.0027 0.0027 0.0000  6 Pd 2.96-2.99, 10 Cu 3.01-3.22

=====

Density functional theory data (PBE) for an optimized crystal structure of Mg2VN2.

Calculated values
The crystal system is monoclinic. For the total energy, the calculation gives -6.47 eV/atom.

Cell: 5.4078 5.4078 6.0214 Å, 68.56 68.56 49.03°
Last column: nearest neighbours and their distance in Å.
Positions (direct):
Mg 0.6729 0.6729 0.8954  5 N 2.22-2.30
N 0.1788 0.1788 0.8921  1 V 1.82
N 0.5023 0.5023 0.7293  2 V 1.86-2.02
Mg 0.0151 0.0151 0.7484  4 N 2.11-2.25
Mg 0.3271 0.3271 0.1046  5 N 2.22-2.30
V 0.3503 0.3503 0.6194  3 N 1.82-2.02
Mg 0.9849 0.9849 0.2516  4 N 2.11-2.25
V 0.6497 0.6497 0.3806  3 N 1.82-2.02
N 0.8212 0.8212 0.1079  1 V 1.82
N 0.4977 0.4977 0.2707  2 V 1.86-2.02

=====

Density functional theory data (PBE) for an optimized crystal structure of Gd2HfO5.

Calculated values
The crystal system is monoclinic. For the total energy, the calculation gives -11.34 eV/atom. The value obtained for the energy above the most stable polymorph in this dataset is 22 meV per atom.

Cell: 6.5904 6.5904 7.7293 Å, 69.45 69.45 49.78°
Last column: nearest neighbours and their distance in Å.
Positions (direct):
O 0.6036 0.2497 0.4561  1 Hf 2.08, 2 Gd 2.28-2.30
O 0.8287 0.1713 0.7500  2 Hf 2.15
Hf 0.0000 0.0000 0.0000  6 O 2.08-2.15
Gd 0.6466 0.6336 0.7498  5 O 2.22-2.45
O 0.0219 0.3215 0.3586  1 Hf 2.09, 2 Gd 2.22-2.24
Hf 0.0000 0.0000 0.5000  6 O 2.08-2.15
O 0.3964 0.7503 0.5439  1 Hf 2.08, 2 Gd 2.28-2.30
O 0.7503 0.3964 0.0439  1 Hf 2.08, 2 Gd 2.28-2.30
Gd 0.6336 0.6466 0.2498  5 O 2.22-2.45
O 0.9781 0.6785 0.6414  1 Hf 2.09, 2 Gd 2.22-2.24
O 0.6785 0.9781 0.1414  1 Hf 2.09, 2 Gd 2.22-2.24
O 0.1713 0.8287 0.2500  2 Hf 2.15
Gd 0.3664 0.3534 0.7502  5 O 2.22-2.45
O 0.3215 0.0219 0.8586  1 Hf 2.09, 2 Gd 2.22-2.24
Gd 0.3534 0.3664 0.2502  5 O 2.22-2.45
O 0.2497 0.6036 0.9561  1 Hf 2.08, 2 Gd 2.28-2.30